1.
K7Nb14P9O60, optimized geometry, DFT PBE; formation enthalpy at 0 K = -2.924 eV per atom; E (MP2020) = -8.42 eV per atom
1.0
-6.376 -0.906 -1.205
-2.291 9.143 5.246
3.320 19.186 -31.991
K Nb P O
14 28 18 120
direct
0.457 0.500 0.750
0.543 0.500 0.250
0.967 0.000 0.388
0.033 0.000 0.612
0.967 0.000 0.112
0.033 0.000 0.888
0.756 0.500 0.393
0.244 0.500 0.607
0.756 0.500 0.107
0.244 0.500 0.893
0.274 0.000 0.750
0.726 0.000 0.250
0.000 0.000 0.000
0.000 0.000 0.500
0.520 0.000 0.946
0.480 0.000 0.054
0.520 0.000 0.554
0.480 0.000 0.446
0.955 0.684 0.750
0.045 0.316 0.250
0.955 0.316 0.750
0.045 0.684 0.250
0.744 0.676 0.945
0.256 0.324 0.055
0.744 0.324 0.555
0.256 0.676 0.055
0.256 0.676 0.445
0.744 0.324 0.945
0.256 0.324 0.445
0.744 0.676 0.555
0.754 0.678 0.842
0.246 0.322 0.158
0.754 0.322 0.658
0.246 0.678 0.158
0.246 0.678 0.342
0.754 0.322 0.842
0.246 0.322 0.342
0.754 0.678 0.658
0.544 0.000 0.842
0.456 0.000 0.158
0.544 0.000 0.658
0.456 0.000 0.342
0.754 0.738 0.461
0.246 0.262 0.539
0.754 0.262 0.039
0.246 0.738 0.539
0.246 0.738 0.961
0.754 0.262 0.461
0.246 0.262 0.961
0.754 0.738 0.039
0.773 0.000 0.750
0.227 0.000 0.250
0.746 0.738 0.324
0.254 0.262 0.676
0.746 0.262 0.176
0.254 0.738 0.676
0.254 0.738 0.824
0.746 0.262 0.324
0.254 0.262 0.824
0.746 0.738 0.176
0.431 0.662 0.947
0.569 0.338 0.053
0.431 0.338 0.553
0.569 0.662 0.053
0.569 0.662 0.447
0.431 0.338 0.947
0.569 0.338 0.447
0.431 0.662 0.553
0.789 0.700 0.285
0.211 0.300 0.715
0.789 0.300 0.215
0.211 0.700 0.715
0.211 0.700 0.785
0.789 0.300 0.285
0.211 0.300 0.785
0.789 0.700 0.215
0.933 0.704 0.348
0.067 0.296 0.652
0.933 0.296 0.152
0.067 0.704 0.652
0.067 0.704 0.848
0.933 0.296 0.348
0.067 0.296 0.848
0.933 0.704 0.152
0.299 0.877 0.827
0.701 0.123 0.173
0.299 0.123 0.673
0.701 0.877 0.173
0.701 0.877 0.327
0.299 0.123 0.827
0.701 0.123 0.327
0.299 0.877 0.673
0.633 0.000 0.784
0.367 0.000 0.216
0.633 0.000 0.716
0.367 0.000 0.284
0.918 0.884 0.750
0.082 0.116 0.250
0.918 0.116 0.750
0.082 0.884 0.250
0.946 0.682 0.442
0.054 0.318 0.558
0.946 0.318 0.058
0.054 0.682 0.558
0.054 0.682 0.942
0.946 0.318 0.442
0.054 0.318 0.942
0.946 0.682 0.058
0.464 0.000 0.891
0.536 0.000 0.109
0.464 0.000 0.609
0.536 0.000 0.391
0.724 0.863 0.847
0.276 0.137 0.153
0.724 0.137 0.653
0.276 0.863 0.153
0.276 0.863 0.347
0.724 0.137 0.847
0.276 0.137 0.347
0.724 0.863 0.653
0.775 0.683 0.790
0.225 0.317 0.210
0.775 0.317 0.710
0.225 0.683 0.210
0.225 0.683 0.290
0.775 0.317 0.790
0.225 0.317 0.290
0.775 0.683 0.710
0.704 0.866 0.942
0.296 0.134 0.058
0.704 0.134 0.558
0.296 0.866 0.058
0.296 0.866 0.442
0.704 0.134 0.942
0.296 0.134 0.442
0.704 0.866 0.558
0.735 0.661 0.895
0.265 0.339 0.105
0.735 0.339 0.605
0.265 0.661 0.105
0.265 0.661 0.395
0.735 0.339 0.895
0.265 0.339 0.395
0.735 0.661 0.605
0.789 0.500 0.840
0.211 0.500 0.160
0.789 0.500 0.660
0.211 0.500 0.340
0.740 0.874 0.449
0.260 0.126 0.551
0.740 0.126 0.051
0.260 0.874 0.551
0.260 0.874 0.949
0.740 0.126 0.449
0.260 0.126 0.949
0.740 0.874 0.051
0.500 0.000 0.000
0.500 0.000 0.500
0.772 0.726 0.999
0.228 0.274 0.001
0.772 0.274 0.501
0.228 0.726 0.001
0.228 0.726 0.499
0.772 0.274 0.999
0.228 0.274 0.499
0.772 0.726 0.501
0.440 0.662 0.839
0.560 0.338 0.161
0.440 0.338 0.661
0.560 0.662 0.161
0.560 0.662 0.339
0.440 0.338 0.839
0.560 0.338 0.339
0.440 0.662 0.661
0.752 0.500 0.956
0.248 0.500 0.044
0.752 0.500 0.544
0.248 0.500 0.456
0.984 0.500 0.750
0.016 0.500 0.250

2.
MgSi2, optimized geometry, DFT PBE; formation enthalpy at 0 K = 0.163 eV per atom; E (MP2020) = -3.99 eV per atom; energy above the lowest structure with this stoichiometry = 0.085 eV/atom; M_tot = 0.00 μB per cell
1.0
-2.211 -2.601 -0.805
1.423 -1.211 7.703
-7.037 3.039 1.893
Mg Si
4 8
direct
0.330 0.098 0.022
0.830 0.598 0.522
0.589 0.985 0.395
0.089 0.485 0.895
0.210 0.292 0.458
0.710 0.792 0.958
0.459 0.542 0.209
0.583 0.282 0.703
0.959 0.042 0.709
0.083 0.782 0.203
0.337 0.802 0.713
0.837 0.302 0.213

3.
Ca11Re4O24, optimized geometry, DFT PBE; formation enthalpy at 0 K = -2.907 eV per atom; E (MP2020) = -7.79 eV per atom; M_tot = 4.01 μB per cell
1.0
-5.556 5.556 8.344
5.556 -5.556 8.344
5.556 5.556 -8.344
Ca Re O
22 8 48
direct
0.366 0.866 0.500
0.616 0.616 0.000
0.882 0.382 0.500
0.132 0.132 0.000
0.673 0.173 0.500
0.923 0.923 0.000
0.434 0.667 0.199
0.417 0.718 0.733
0.985 0.684 0.267
0.468 0.235 0.801
0.031 0.767 0.702
0.517 0.315 0.236
0.079 0.281 0.764
0.065 0.329 0.298
0.814 0.881 0.467
0.631 0.664 0.568
0.097 0.064 0.432
0.414 0.347 0.533
0.400 0.929 0.065
0.679 0.114 0.029
0.085 0.650 0.971
0.864 0.335 0.935
0.249 0.001 0.751
0.751 0.500 0.252
0.248 0.499 0.748
0.250 0.498 0.249
0.740 0.999 0.740
0.749 0.509 0.759
0.750 0.990 0.241
0.259 0.000 0.260
0.762 0.475 0.080
0.225 0.644 0.213
0.431 0.012 0.787
0.394 0.681 0.920
0.863 0.372 0.277
0.122 0.345 0.009
0.336 0.113 0.991
0.095 0.586 0.723
0.586 0.330 0.085
0.080 0.496 0.245
0.251 0.836 0.755
0.246 0.501 0.915
0.163 0.887 0.509
0.637 0.627 0.223
0.404 0.413 0.777
0.377 0.654 0.491
0.246 0.165 0.744
0.915 0.671 0.419
0.252 0.496 0.581
0.421 0.502 0.256
0.065 0.990 0.711
0.740 0.530 0.425
0.105 0.315 0.575
0.280 0.355 0.289
0.625 0.934 0.282
0.684 0.902 0.809
0.093 0.875 0.191
0.652 0.343 0.718
0.327 0.843 0.192
0.593 0.902 0.016
0.420 0.122 0.323
0.872 0.050 0.203
0.847 0.670 0.797
0.800 0.097 0.677
0.886 0.399 0.717
0.149 0.932 0.013
0.919 0.136 0.987
0.682 0.169 0.283
0.345 0.070 0.491
0.820 0.829 0.225
0.604 0.595 0.775
0.579 0.854 0.509
0.166 0.146 0.293
0.896 0.103 0.480
0.623 0.416 0.520
0.853 0.873 0.707
0.652 0.135 0.808
0.885 0.577 0.984

4.
Lu3Mg2MnS8, optimized geometry, DFT PBE; formation enthalpy at 0 K = -1.864 eV per atom; E (MP2020) = -6.08 eV per atom; M_tot = 4.00 μB per cell
1.0
-4.156 -1.867 -6.209
0.021 -7.147 -2.638
-6.244 -4.463 0.745
Lu Mg Mn S
3 2 1 8
direct
0.500 0.500 0.500
0.500 0.500 0.000
0.000 0.500 0.500
0.875 0.874 0.876
0.125 0.127 0.124
0.500 0.000 0.500
0.734 0.759 0.734
0.265 0.242 0.728
0.256 0.733 0.255
0.727 0.240 0.267
0.744 0.267 0.745
0.273 0.760 0.733
0.266 0.241 0.266
0.735 0.758 0.272

5.
Na7Y3ZnSi3S3O24, optimized geometry, DFT PBE; formation enthalpy at 0 K = -2.669 eV per atom; E (MP2020) = -7.00 eV per atom; M_tot = 0.00 μB per cell
1.0
9.432 0.063 0.003
-4.662 8.127 0.019
0.007 0.062 23.100
Na Y Zn Si S O
21 9 3 9 9 72
direct
0.641 0.002 0.238
0.396 0.374 0.236
0.972 0.626 0.255
0.626 0.624 0.734
0.988 0.339 0.745
0.391 0.029 0.756
0.009 0.692 0.573
0.671 0.952 0.587
0.328 0.995 0.079
0.653 0.694 0.098
0.680 0.033 0.916
0.337 0.289 0.920
0.958 0.294 0.405
0.324 0.010 0.410
0.719 0.685 0.417
0.979 0.977 0.491
0.021 0.019 0.007
0.647 0.310 0.825
0.683 0.350 0.328
0.353 0.655 0.162
0.361 0.645 0.668
0.008 0.006 0.848
0.000 0.006 0.651
0.990 0.007 0.149
0.662 0.325 0.987
0.671 0.344 0.483
0.331 0.674 0.021
0.348 0.669 0.516
0.343 0.676 0.318
0.341 0.680 0.816
0.956 0.949 0.352
0.638 0.330 0.685
0.654 0.334 0.171
0.695 0.683 0.249
0.306 0.307 0.752
0.697 0.011 0.748
0.669 0.635 0.588
0.665 0.034 0.087
0.365 0.334 0.085
0.332 0.977 0.917
0.644 0.976 0.416
0.035 0.671 0.417
0.294 0.000 0.253
0.003 0.301 0.256
0.998 0.696 0.748
0.965 0.337 0.585
0.368 0.031 0.584
0.963 0.630 0.088
0.634 0.669 0.917
0.033 0.368 0.915
0.328 0.360 0.415
0.212 0.015 0.306
0.802 0.760 0.309
0.995 0.207 0.309
0.224 0.200 0.811
0.978 0.785 0.798
0.808 0.034 0.807
0.783 0.974 0.692
0.184 0.207 0.698
0.024 0.794 0.695
0.786 0.806 0.194
0.024 0.217 0.204
0.199 0.990 0.200
0.884 0.350 0.638
0.466 0.112 0.636
0.664 0.530 0.646
0.888 0.537 0.141
0.655 0.133 0.145
0.479 0.367 0.142
0.456 0.317 0.026
0.863 0.547 0.036
0.680 0.132 0.026
0.447 0.125 0.531
0.682 0.548 0.528
0.865 0.320 0.532
0.547 0.682 0.969
0.139 0.456 0.964
0.326 0.873 0.975
0.558 0.857 0.473
0.308 0.446 0.466
0.144 0.686 0.476
0.120 0.638 0.360
0.530 0.888 0.359
0.357 0.462 0.362
0.111 0.454 0.860
0.347 0.886 0.859
0.532 0.645 0.864
0.029 0.844 0.414
0.830 0.000 0.412
0.181 0.197 0.411
0.013 0.198 0.915
0.172 0.005 0.918
0.792 0.824 0.913
0.981 0.186 0.585
0.199 0.005 0.587
0.839 0.819 0.586
0.981 0.798 0.089
0.813 0.990 0.086
0.193 0.158 0.088
0.685 0.180 0.740
0.489 0.326 0.748
0.854 0.531 0.746
0.682 0.500 0.243
0.853 0.314 0.251
0.463 0.142 0.250
0.658 0.525 0.921
0.869 0.352 0.919
0.504 0.160 0.916
0.654 0.156 0.420
0.475 0.340 0.421
0.847 0.513 0.420
0.346 0.498 0.080
0.130 0.651 0.082
0.491 0.854 0.087
0.354 0.864 0.582
0.511 0.666 0.587
0.128 0.487 0.580
0.305 0.844 0.253
0.509 0.664 0.251
0.149 0.469 0.255
0.321 0.490 0.753
0.146 0.678 0.755
0.512 0.849 0.752

6.
Ga2CoIr, optimized geometry, DFT PBE; formation enthalpy at 0 K = -0.333 eV per atom; M_tot = 0.23 μB per cell
1.0
-1.492 -3.919 0.503
0.069 -1.813 3.814
-3.607 -0.632 2.103
Ga Co Ir
2 1 1
direct
0.250 0.250 0.250
0.750 0.750 0.750
0.500 0.500 0.500
0.000 0.000 0.000